(1)
Material: Na5Zn4PS5O24
Method: DFT, PBE
State: relaxed

## Properties
Energy of formation from the pure elements = -80.70 eV per formula unit
Spin magnetization = 0.0 μB per formula unit

Cell: 8.927 8.928 22.259 Å, 90.54 90.25 119.98°
Sites, in units of the cell vectors:
Na1 0.000 0.000 0.000
Na2 0.001 0.653 0.913
Na3 0.031 0.328 0.161
Na4 0.037 0.685 0.413
Na5 0.331 0.026 0.827
Na6 0.345 0.351 0.748
Na7 0.358 0.718 0.996
Na8 0.363 0.360 0.247
Na9 0.368 0.000 0.502
Na10 0.393 0.700 0.663
Na11 0.658 0.324 0.661
Na12 0.690 0.036 0.082
Na13 0.696 0.392 0.333
Na14 0.719 0.050 0.580
Na15 0.727 0.718 0.494
Zn1 0.021 0.679 0.067
Zn2 0.029 0.686 0.568
Zn3 0.032 0.700 0.760
Zn4 0.036 0.704 0.261
Zn5 0.357 0.336 0.594
Zn6 0.359 0.371 0.901
Zn7 0.364 0.361 0.401
Zn8 0.365 0.359 0.093
Zn9 0.691 0.016 0.234
Zn10 0.697 0.027 0.734
Zn11 0.704 0.042 0.427
Zn12 0.714 0.050 0.928
P1 0.064 0.361 0.000
P2 0.328 0.991 0.665
P3 0.667 0.362 0.497
S1 0.030 0.396 0.665
S2 0.030 0.991 0.163
S3 0.063 0.064 0.496
S4 0.330 0.696 0.163
S5 0.362 0.655 0.499
S6 0.365 0.064 0.996
S7 0.397 0.024 0.332
S8 0.401 0.729 0.831
S9 0.661 0.655 0.997
S10 0.696 0.330 0.829
S11 0.697 0.730 0.332
S12 0.728 0.393 0.167
S13 0.732 0.697 0.663
S14 0.994 0.025 0.832
S15 0.998 0.327 0.328
O1 0.010 0.500 0.325
O2 0.013 0.893 0.106
O3 0.014 0.868 0.827
O4 0.045 0.903 0.216
O5 0.048 0.527 0.005
O6 0.052 0.890 0.500
O7 0.058 0.506 0.719
O8 0.136 0.166 0.552
O9 0.142 0.329 0.058
O10 0.170 0.147 0.443
O11 0.172 0.346 0.335
O12 0.173 0.180 0.834
O13 0.185 0.395 0.946
O14 0.186 0.168 0.161
O15 0.191 0.386 0.658
O16 0.203 0.891 0.000
O17 0.213 0.686 0.501
O18 0.215 0.669 0.215
O19 0.223 0.870 0.324
O20 0.227 0.716 0.829
O21 0.228 0.909 0.723
O22 0.242 0.878 0.608
O23 0.254 0.718 0.106
O24 0.340 0.549 0.445
O25 0.343 0.535 0.160
O26 0.344 0.142 0.940
O27 0.354 0.177 0.661
O28 0.381 0.574 0.555
O29 0.382 0.555 0.835
O30 0.385 0.186 0.335
O31 0.391 0.171 0.049
O32 0.472 0.002 0.389
O33 0.490 0.839 0.885
O34 0.498 0.810 0.776
O35 0.504 0.851 0.170
O36 0.512 0.052 0.280
O37 0.513 0.010 0.668
O38 0.514 0.031 0.992
O39 0.525 0.829 0.495
O40 0.533 0.338 0.834
O41 0.541 0.552 0.334
O42 0.554 0.332 0.554
O43 0.554 0.374 0.159
O44 0.554 0.541 0.660
O45 0.555 0.574 0.051
O46 0.583 0.392 0.440
O47 0.585 0.551 0.942
O48 0.670 0.224 0.773
O49 0.672 0.829 0.993
O50 0.678 0.194 0.491
O51 0.681 0.817 0.279
O52 0.713 0.852 0.670
O53 0.714 0.827 0.389
O54 0.717 0.220 0.170
O55 0.720 0.247 0.882
O56 0.807 0.494 0.223
O57 0.817 0.667 0.715
O58 0.827 0.715 0.606
O59 0.841 0.478 0.115
O60 0.841 0.687 0.003
O61 0.846 0.530 0.504
O62 0.850 0.505 0.824
O63 0.853 0.707 0.329
O64 0.874 0.013 0.166
O65 0.875 0.221 0.671
O66 0.883 0.033 0.490
O67 0.885 0.193 0.993
O68 0.885 0.242 0.380
O69 0.900 0.008 0.888
O70 0.905 0.043 0.779
O71 0.919 0.226 0.272
O72 0.995 0.470 0.611

***

(2)
Material: KAs2Ru2
Method: DFT, PBE
State: relaxed

## Properties
Energy of formation from the pure elements = -2.00 eV per formula unit

Cell: 6.978 6.978 6.978 Å, 145.36 145.36 49.80°
Sites, in units of the cell vectors:
K1 0.000 0.000 0.000
As1 0.350 0.350 0.000
As2 0.650 0.650 0.000
Ru1 0.250 0.750 0.500
Ru2 0.750 0.250 0.500

***

(3)
Material: Ba3LuIrRuO9
Method: DFT, PBE
State: relaxed

## Properties
Energy of formation from the pure elements = -39.24 eV per formula unit
Spin magnetization = 2.0 μB per formula unit

Cell: 5.913 5.913 14.570 Å, 90.00 90.00 120.00°
Sites, in units of the cell vectors:
Ba1 0.000 0.000 0.000
Ba2 0.000 0.000 0.500
Ba3 0.333 0.667 0.157
Ba4 0.333 0.667 0.841
Ba5 0.667 0.333 0.341
Ba6 0.667 0.333 0.657
Lu1 0.000 0.000 0.249
Lu2 0.000 0.000 0.749
Ir1 0.333 0.667 0.587
Ir2 0.667 0.333 0.087
Ru1 0.333 0.667 0.412
Ru2 0.667 0.333 0.912
O1 0.020 0.510 0.499
O2 0.174 0.348 0.337
O3 0.174 0.348 0.665
O4 0.174 0.826 0.337
O5 0.174 0.826 0.665
O6 0.348 0.174 0.165
O7 0.348 0.174 0.837
O8 0.490 0.510 0.499
O9 0.490 0.980 0.499
O10 0.510 0.020 0.999
O11 0.510 0.490 0.999
O12 0.652 0.826 0.337
O13 0.652 0.826 0.665
O14 0.826 0.174 0.165
O15 0.826 0.174 0.837
O16 0.826 0.652 0.165
O17 0.826 0.652 0.837
O18 0.980 0.490 0.999

***

(4)
Material: Ta9Co2S6
Method: DFT, PBE
State: relaxed

## Properties
Energy of formation from the pure elements = -15.74 eV per formula unit
Energy above the lowest structure with this stoichiometry = 0.005 eV/atom
Spin magnetization = 0.0 μB per formula unit

Cell: 10.328 10.328 3.328 Å, 90.00 90.00 120.00°
Sites, in units of the cell vectors:
Ta1 0.000 0.458 0.000
Ta2 0.202 0.739 0.500
Ta3 0.261 0.463 0.500
Ta4 0.458 0.000 0.000
Ta5 0.463 0.261 0.500
Ta6 0.537 0.798 0.500
Ta7 0.542 0.542 0.000
Ta8 0.739 0.202 0.500
Ta9 0.798 0.537 0.500
Co1 0.333 0.667 0.000
Co2 0.667 0.333 0.000
S1 0.000 0.277 0.500
S2 0.000 0.705 0.000
S3 0.277 0.000 0.500
S4 0.295 0.295 0.000
S5 0.705 0.000 0.000
S6 0.723 0.723 0.500

***

The highest energy of formation from the pure elements belongs to which entry?
KAs2Ru2